# 1
CdInGaS4: relaxed, PBE-GGA.

Cell lengths 4.057, 4.057, 12.715 Å; angles 90.00, 90.00, 120.00 degrees
Fractional positions:
1 Cd 0.000 0.000 0.000
2 In 0.333 0.667 0.284
3 Ga 0.333 0.667 0.721
4 S 0.000 0.000 0.802
5 S 0.333 0.667 0.083
6 S 0.333 0.667 0.557
7 S 0.667 0.333 0.356

Values from the calculation:
formation enthalpy at 0 K = -0.6182 eV per atom
total magnetization = 0.08 μB/cell
polymorph energy (0 for the lowest one) = 1.56 eV/f.u.

# 2
HoInPt: relaxed, PBE-GGA.

Cell lengths 7.677, 7.677, 3.848 Å; angles 90.00, 90.00, 120.00 degrees
Fractional positions:
1 Ho 0.000 0.406 0.000
2 Ho 0.406 0.000 0.000
3 Ho 0.594 0.594 0.000
4 In 0.000 0.739 0.500
5 In 0.261 0.261 0.500
6 In 0.739 0.000 0.500
7 Pt 0.000 0.000 0.000
8 Pt 0.333 0.667 0.500
9 Pt 0.667 0.333 0.500

Values from the calculation:
formation enthalpy at 0 K = -0.9945 eV per atom

# 3
NaZnSb: relaxed, PBE-GGA.

Cell lengths 4.461, 4.461, 7.555 Å; angles 90.00, 90.00, 90.00 degrees
Fractional positions:
1 Na 0.250 0.250 0.155
2 Na 0.750 0.750 0.845
3 Zn 0.250 0.750 0.500
4 Zn 0.750 0.250 0.500
5 Sb 0.250 0.250 0.723
6 Sb 0.750 0.750 0.277

Values from the calculation:
formation enthalpy at 0 K = -0.3676 eV per atom

# 4
GdRu2: relaxed, PBE-GGA.

Cell lengths 5.369, 5.369, 5.369 Å; angles 60.00, 60.00, 60.00 degrees
Fractional positions:
1 Gd 0.125 0.125 0.125
2 Gd 0.875 0.875 0.875
3 Ru 0.000 0.500 0.500
4 Ru 0.500 0.000 0.500
5 Ru 0.500 0.500 0.000
6 Ru 0.500 0.500 0.500

Values from the calculation:
formation enthalpy at 0 K = -0.2566 eV per atom

# 5
Mg2Ti2O5: relaxed, PBE-GGA.

Cell lengths 7.769, 7.769, 7.769 Å; angles 60.11, 139.02, 138.03 degrees
Fractional positions:
1 Mg 0.025 0.120 0.145
2 Mg 0.025 0.380 0.405
3 Mg 0.975 0.620 0.595
4 Mg 0.975 0.880 0.855
5 Ti 0.428 0.428 0.000
6 Ti 0.428 0.928 0.500
7 Ti 0.483 0.771 0.213
8 Ti 0.558 0.271 0.787
9 O 0.003 0.626 0.878
10 O 0.222 0.002 0.505
11 O 0.222 0.218 0.720
12 O 0.402 0.119 0.206
13 O 0.402 0.696 0.783
14 O 0.498 0.502 0.280
15 O 0.498 0.718 0.495
16 O 0.748 0.126 0.122
17 O 0.913 0.196 0.794
18 O 0.913 0.619 0.217

Values from the calculation:
formation enthalpy at 0 K = -2.9673 eV per atom
total magnetization = 4.00 μB/cell
polymorph energy (0 for the lowest one) = 0.00 eV/f.u.

# 6
Na6Zn2Si5Sn6S7O48: relaxed, PBE-GGA.

Cell lengths 8.947, 15.316, 22.945 Å; angles 89.59, 89.83, 89.97 degrees
Fractional positions:
1 Na 0.000 0.000 0.000
2 Na 0.000 0.017 0.494
3 Na 0.177 0.855 0.412
4 Na 0.284 0.354 0.916
5 Na 0.461 0.519 0.997
6 Na 0.470 0.173 0.172
7 Na 0.475 0.180 0.664
8 Na 0.476 0.502 0.495
9 Na 0.479 0.845 0.334
10 Na 0.489 0.834 0.828
11 Na 0.614 0.685 0.408
12 Na 0.647 0.989 0.407
13 Na 0.812 0.489 0.912
14 Na 0.847 0.183 0.914
15 Na 0.972 0.332 0.322
16 Na 0.983 0.343 0.840
17 Na 0.984 0.684 0.162
18 Na 0.988 0.684 0.676
19 Zn 0.003 0.676 0.806
20 Zn 0.459 0.173 0.302
21 Zn 0.474 0.182 0.822
22 Zn 0.477 0.843 0.470
23 Zn 0.983 0.342 0.972
24 Zn 0.989 0.685 0.317
25 Si 0.119 0.535 0.911
26 Si 0.125 0.153 0.243
27 Si 0.127 0.192 0.582
28 Si 0.183 0.170 0.909
29 Si 0.276 0.668 0.411
30 Si 0.335 0.652 0.742
31 Si 0.337 0.692 0.083
32 Si 0.338 0.993 0.078
33 Si 0.339 0.036 0.410
34 Si 0.623 0.360 0.247
35 Si 0.625 0.320 0.910
36 Si 0.683 0.343 0.579
37 Si 0.777 0.841 0.079
38 Si 0.835 0.822 0.410
39 Si 0.839 0.860 0.746
40 Sn 0.462 0.174 0.012
41 Sn 0.467 0.177 0.518
42 Sn 0.469 0.515 0.850
43 Sn 0.474 0.505 0.344
44 Sn 0.481 0.507 0.145
45 Sn 0.482 0.840 0.986
46 Sn 0.485 0.506 0.644
47 Sn 0.486 0.844 0.175
48 Sn 0.492 0.838 0.684
49 Sn 0.969 0.337 0.183
50 Sn 0.972 0.336 0.482
51 Sn 0.973 0.337 0.679
52 Sn 0.982 0.007 0.645
53 Sn 0.984 0.003 0.847
54 Sn 0.991 0.006 0.139
55 Sn 0.992 0.013 0.346
56 Sn 0.995 0.679 0.509
57 Sn 0.996 0.678 0.019
58 S 0.123 0.491 0.578
59 S 0.136 0.857 0.245
60 S 0.139 0.823 0.913
61 S 0.180 0.511 0.244
62 S 0.190 0.839 0.579
63 S 0.270 0.342 0.080
64 S 0.279 0.011 0.744
65 S 0.323 0.324 0.414
66 S 0.325 0.358 0.744
67 S 0.625 0.023 0.911
68 S 0.627 0.986 0.579
69 S 0.630 0.659 0.247
70 S 0.637 0.694 0.576
71 S 0.689 0.680 0.913
72 S 0.691 0.003 0.245
73 S 0.770 0.179 0.413
74 S 0.777 0.504 0.746
75 S 0.828 0.196 0.076
76 S 0.829 0.157 0.747
77 S 0.835 0.486 0.079
78 S 0.838 0.524 0.413
79 O 0.032 0.578 0.857
80 O 0.038 0.118 0.302
81 O 0.044 0.095 0.587
82 O 0.048 0.578 0.574
83 O 0.050 0.253 0.239
84 O 0.054 0.233 0.523
85 O 0.058 0.436 0.918
86 O 0.061 0.451 0.632
87 O 0.062 0.086 0.904
88 O 0.068 0.771 0.248
89 O 0.070 0.913 0.909
90 O 0.072 0.787 0.967
91 O 0.072 0.902 0.193
92 O 0.077 0.255 0.918
93 O 0.080 0.096 0.186
94 O 0.082 0.586 0.250
95 O 0.092 0.758 0.579
96 O 0.092 0.919 0.584
97 O 0.094 0.429 0.238
98 O 0.096 0.590 0.972
99 O 0.097 0.438 0.526
100 O 0.102 0.254 0.639
101 O 0.105 0.907 0.300
102 O 0.107 0.774 0.860
103 O 0.154 0.022 0.407
104 O 0.156 0.337 0.422
105 O 0.156 0.358 0.740
106 O 0.156 0.679 0.080
107 O 0.157 0.004 0.081
108 O 0.159 0.657 0.746
109 O 0.174 0.334 0.133
110 O 0.175 0.687 0.356
111 O 0.183 0.643 0.472
112 O 0.184 0.026 0.691
113 O 0.184 0.351 0.026
114 O 0.185 0.996 0.797
115 O 0.272 0.495 0.298
116 O 0.275 0.847 0.526
117 O 0.278 0.147 0.968
118 O 0.278 0.188 0.851
119 O 0.278 0.526 0.193
120 O 0.285 0.831 0.633
121 O 0.288 0.501 0.582
122 O 0.302 0.158 0.245
123 O 0.303 0.853 0.242
124 O 0.304 0.832 0.918
125 O 0.305 0.523 0.908
126 O 0.308 0.181 0.580
127 O 0.348 0.273 0.362
128 O 0.356 0.410 0.797
129 O 0.360 0.090 0.473
130 O 0.361 0.934 0.020
131 O 0.363 0.750 0.141
132 O 0.364 0.927 0.737
133 O 0.366 0.422 0.084
134 O 0.368 0.263 0.079
135 O 0.371 0.595 0.683
136 O 0.378 0.085 0.749
137 O 0.382 0.753 0.420
138 O 0.388 0.401 0.690
139 O 0.389 0.271 0.746
140 O 0.389 0.289 0.469
141 O 0.392 0.414 0.410
142 O 0.399 0.585 0.405
143 O 0.401 0.936 0.418
144 O 0.408 0.730 0.022
145 O 0.408 0.951 0.138
146 O 0.413 0.750 0.738
147 O 0.418 0.594 0.087
148 O 0.423 0.088 0.075
149 O 0.428 0.612 0.798
150 O 0.432 0.080 0.359
151 O 0.530 0.281 0.968
152 O 0.543 0.406 0.189
153 O 0.545 0.419 0.903
154 O 0.555 0.746 0.243
155 O 0.557 0.264 0.254
156 O 0.557 0.945 0.633
157 O 0.559 0.934 0.918
158 O 0.563 0.620 0.302
159 O 0.564 0.076 0.577
160 O 0.566 0.062 0.858
161 O 0.568 0.605 0.583
162 O 0.569 0.428 0.585
163 O 0.576 0.734 0.524
164 O 0.582 0.755 0.919
165 O 0.584 0.254 0.571
166 O 0.591 0.604 0.195
167 O 0.595 0.921 0.243
168 O 0.599 0.936 0.527
169 O 0.600 0.595 0.910
170 O 0.602 0.079 0.964
171 O 0.602 0.081 0.248
172 O 0.603 0.424 0.305
173 O 0.612 0.746 0.630
174 O 0.618 0.257 0.855
175 O 0.654 0.863 0.740
176 O 0.659 0.838 0.421
177 O 0.662 0.190 0.071
178 O 0.668 0.165 0.749
179 O 0.669 0.493 0.086
180 O 0.671 0.515 0.411
181 O 0.681 0.169 0.468
182 O 0.681 0.820 0.138
183 O 0.681 0.861 0.020
184 O 0.682 0.509 0.692
185 O 0.685 0.193 0.360
186 O 0.685 0.487 0.799
187 O 0.773 0.693 0.860
188 O 0.779 0.989 0.301
189 O 0.780 0.668 0.967
190 O 0.781 0.328 0.638
191 O 0.784 0.367 0.522
192 O 0.791 0.007 0.194
193 O 0.792 0.665 0.250
194 O 0.793 0.993 0.586
195 O 0.794 0.017 0.908
196 O 0.800 0.338 0.922
197 O 0.805 0.682 0.572
198 O 0.807 0.364 0.239
199 O 0.845 0.754 0.358
200 O 0.854 0.249 0.130
201 O 0.860 0.579 0.468
202 O 0.860 0.925 0.803
203 O 0.861 0.096 0.411
204 O 0.863 0.436 0.026
205 O 0.866 0.582 0.748
206 O 0.871 0.107 0.693
207 O 0.875 0.423 0.741
208 O 0.877 0.256 0.418
209 O 0.880 0.753 0.072
210 O 0.881 0.928 0.086
211 O 0.892 0.108 0.083
212 O 0.895 0.117 0.800
213 O 0.895 0.236 0.024
214 O 0.898 0.575 0.077
215 O 0.899 0.563 0.361
216 O 0.904 0.445 0.132
217 O 0.904 0.764 0.754
218 O 0.905 0.246 0.744
219 O 0.910 0.436 0.421
220 O 0.913 0.921 0.402
221 O 0.916 0.904 0.687
222 O 0.930 0.787 0.469

Values from the calculation:
formation enthalpy at 0 K = -2.1757 eV per atom
total magnetization = 0.00 μB/cell